(1)
Below is a geometry-optimized MgH4C4S4O12F12 structure, with properties calculated at the GGA-PBE level.

a = 5.443 Å, b = 9.210 Å, c = 12.608 Å
α = 92.55°, β = 91.67°, γ = 104.66°
Atoms (fractional coordinates):
Mg  0.481  0.490  0.489
H  0.490  0.501  0.775
H  0.992  0.995  0.783
H  0.519  0.498  0.215
H  0.014  0.004  0.215
C  0.389  0.729  0.944
C  0.919  0.191  0.603
C  0.612  0.263  0.050
C  0.058  0.811  0.405
S  0.542  0.741  0.811
S  0.070  0.227  0.740
S  0.458  0.257  0.182
S  0.942  0.773  0.262
O  0.627  0.591  0.805
O  0.140  0.075  0.758
O  0.381  0.409  0.185
O  0.867  0.922  0.239
O  0.772  0.860  0.827
O  0.308  0.338  0.730
O  0.224  0.141  0.168
O  0.707  0.658  0.265
O  0.352  0.747  0.731
O  0.882  0.254  0.810
O  0.646  0.252  0.263
O  0.149  0.752  0.201
F  0.296  0.850  0.960
F  0.859  0.317  0.573
F  0.701  0.140  0.036
F  0.107  0.685  0.442
F  0.198  0.603  0.942
F  0.705  0.078  0.603
F  0.805  0.387  0.050
F  0.273  0.923  0.412
F  0.562  0.726  0.021
F  0.080  0.154  0.534
F  0.440  0.265  0.972
F  0.880  0.850  0.464

Results
M_tot (μB per formula unit): 0.00
Calculated total energy (eV per atom): -5.284



(2)
Below is a geometry-optimized UAlFe structure, with properties calculated at the GGA-PBE level.

a = 5.292 Å, b = 5.227 Å, c = 8.046 Å
α = 90.00°, β = 90.00°, γ = 119.60°
Atoms (fractional coordinates):
U  0.658  0.329  0.545
U  0.354  0.677  0.417
U  0.354  0.677  0.083
U  0.658  0.329  0.955
Al  0.994  0.997  0.489
Al  0.994  0.997  0.011
Al  0.170  0.340  0.750
Al  0.170  0.830  0.750
Fe  0.658  0.829  0.750
Fe  0.829  0.657  0.250
Fe  0.829  0.172  0.250
Fe  0.335  0.167  0.250

Results
M_tot (μB per formula unit): 0.00
Calculated total energy (eV per atom): -7.988



(3)
Below is a geometry-optimized KCuC2N2 structure, with properties calculated at the GGA-PBE level.

a = 7.750 Å, b = 7.434 Å, c = 7.673 Å
α = 80.13°, β = 90.00°, γ = 90.00°
Atoms (fractional coordinates):
K  0.424  0.819  0.310
K  0.924  0.681  0.690
K  0.576  0.181  0.690
K  0.076  0.319  0.310
Cu  0.881  0.917  0.101
Cu  0.381  0.583  0.899
Cu  0.119  0.083  0.899
Cu  0.619  0.417  0.101
C  0.084  0.788  0.049
C  0.584  0.712  0.951
C  0.416  0.288  0.049
C  0.696  0.460  0.325
C  0.196  0.040  0.675
C  0.304  0.540  0.675
C  0.804  0.960  0.325
C  0.916  0.212  0.951
N  0.250  0.520  0.536
N  0.250  0.020  0.536
N  0.750  0.480  0.464
N  0.187  0.673  0.033
N  0.313  0.173  0.033
N  0.813  0.327  0.967
N  0.750  0.980  0.464
N  0.687  0.827  0.967

Results
M_tot (μB per formula unit): 0.00
Calculated total energy (eV per atom): -6.797



(4)
Below is a geometry-optimized Te structure, with properties calculated at the GGA-PBE level.

a = 3.131 Å, b = 4.743 Å, c = 8.986 Å
α = 90.00°, β = 90.00°, γ = 90.00°
Atoms (fractional coordinates):
Te  0.500  0.545  0.761
Te  0.500  0.455  0.261
Te  0.500  0.987  0.009
Te  0.500  0.013  0.509

Results
M_tot (μB per formula unit): 0.00
Calculated total energy (eV per atom): -3.094



(5)
Below is a geometry-optimized RbH3O2 structure, with properties calculated at the GGA-PBE level.

a = 6.075 Å, b = 6.075 Å, c = 6.025 Å
α = 90.00°, β = 90.00°, γ = 139.28°
Atoms (fractional coordinates):
Rb  0.153  0.847  0.774
Rb  0.847  0.153  0.274
H  0.512  0.488  0.512
H  0.488  0.512  0.012
H  0.086  0.302  0.800
H  0.914  0.698  0.300
H  0.302  0.086  0.300
H  0.698  0.914  0.800
O  0.159  0.841  0.264
O  0.532  0.468  0.353
O  0.841  0.159  0.764
O  0.468  0.532  0.853

Results
Piezoelectric modulus e_max (C/m2): 0.53
Calculated total energy (eV per atom): -4.735



(6)
Below is a geometry-optimized SrCaZnSi2O7 structure, with properties calculated at the GGA-PBE level.

a = 8.014 Å, b = 5.133 Å, c = 8.006 Å
α = 89.11°, β = 90.00°, γ = 90.00°
Atoms (fractional coordinates):
Sr  0.164  0.492  0.086
Sr  0.664  0.508  0.914
Ca  0.827  0.497  0.420
Ca  0.327  0.503  0.580
Zn  0.501  0.000  0.252
Zn  0.001  0.000  0.748
Si  0.640  0.060  0.605
Si  0.140  0.940  0.395
Si  0.361  0.056  0.884
Si  0.861  0.944  0.116
O  0.643  0.746  0.603
O  0.143  0.254  0.397
O  0.361  0.742  0.884
O  0.861  0.258  0.116
O  0.584  0.219  0.433
O  0.084  0.781  0.567
O  0.420  0.199  0.057
O  0.920  0.801  0.943
O  0.690  0.790  0.175
O  0.190  0.210  0.825
O  0.313  0.790  0.338
O  0.813  0.210  0.662
O  0.998  0.829  0.258
O  0.498  0.171  0.742

Results
M_tot (μB per formula unit): 0.00
Calculated total energy (eV per atom): -6.970



(7)
Below is a geometry-optimized Lu4MgRh structure, with properties calculated at the GGA-PBE level.

a = 9.518 Å, b = 9.518 Å, c = 9.518 Å
α = 60.00°, β = 60.00°, γ = 60.00°
Atoms (fractional coordinates):
Lu  0.347  0.347  0.347
Lu  0.347  0.347  0.958
Lu  0.347  0.958  0.347
Lu  0.958  0.347  0.347
Lu  0.813  0.187  0.187
Lu  0.187  0.813  0.813
Lu  0.187  0.813  0.187
Lu  0.813  0.187  0.813
Lu  0.187  0.187  0.813
Lu  0.813  0.813  0.187
Lu  0.936  0.564  0.564
Lu  0.564  0.936  0.936
Lu  0.564  0.936  0.564
Lu  0.936  0.564  0.936
Lu  0.564  0.564  0.936
Lu  0.936  0.936  0.564
Mg  0.580  0.580  0.580
Mg  0.580  0.580  0.261
Mg  0.580  0.261  0.580
Mg  0.261  0.580  0.580
Rh  0.142  0.142  0.142
Rh  0.142  0.142  0.574
Rh  0.142  0.574  0.142
Rh  0.574  0.142  0.142

Results
Calculated total energy (eV per atom): -4.930



(8)
Below is a geometry-optimized K4SnSb2F14 structure, with properties calculated at the GGA-PBE level.

a = 6.837 Å, b = 7.610 Å, c = 7.792 Å
α = 92.36°, β = 91.42°, γ = 115.33°
Atoms (fractional coordinates):
K  0.286  0.553  0.143
K  0.851  0.736  0.414
K  0.714  0.447  0.857
K  0.149  0.264  0.586
Sn  0.000  0.000  0.000
Sb  0.390  0.809  0.685
Sb  0.610  0.191  0.315
F  0.922  0.379  0.329
F  0.281  0.126  0.882
F  0.430  0.662  0.483
F  0.719  0.874  0.118
F  0.938  0.229  0.949
F  0.274  0.935  0.496
F  0.062  0.771  0.051
F  0.856  0.868  0.773
F  0.078  0.621  0.671
F  0.144  0.132  0.227
F  0.402  0.574  0.813
F  0.598  0.426  0.187
F  0.726  0.065  0.504
F  0.570  0.338  0.517

Results
M_tot (μB per formula unit): 0.00
Calculated total energy (eV per atom): -4.705



(9)
Below is a geometry-optimized Zr6Be15Cu8 structure, with properties calculated at the GGA-PBE level.

a = 7.907 Å, b = 7.907 Å, c = 7.907 Å
α = 60.00°, β = 60.00°, γ = 60.00°
Atoms (fractional coordinates):
Zr  0.703  0.297  0.297
Zr  0.297  0.703  0.703
Zr  0.297  0.703  0.297
Zr  0.703  0.297  0.703
Zr  0.297  0.297  0.703
Zr  0.703  0.703  0.297
Be  0.323  0.323  0.323
Be  0.677  0.677  0.677
Be  0.323  0.323  0.030
Be  0.323  0.030  0.323
Be  0.677  0.677  0.970
Be  0.677  0.970  0.677
Be  0.030  0.323  0.323
Be  0.970  0.677  0.677
Be  0.500  0.000  0.000
Be  0.000  0.500  0.500
Be  0.000  0.500  0.000
Be  0.500  0.000  0.500
Be  0.000  0.000  0.500
Be  0.500  0.500  0.000
Be  0.000  0.000  0.000
Cu  0.124  0.124  0.124
Cu  0.876  0.876  0.876
Cu  0.124  0.124  0.629
Cu  0.124  0.629  0.124
Cu  0.876  0.876  0.371
Cu  0.876  0.371  0.876
Cu  0.629  0.124  0.124
Cu  0.371  0.876  0.876

Results
Calculated total energy (eV per atom): -5.081



(10)
Below is a geometry-optimized Ca3Mg structure, with properties calculated at the GGA-PBE level.

a = 3.816 Å, b = 3.816 Å, c = 11.980 Å
α = 90.00°, β = 90.00°, γ = 120.00°
Atoms (fractional coordinates):
Ca  0.667  0.333  0.000
Ca  0.000  0.000  0.270
Ca  0.000  0.000  0.730
Mg  0.667  0.333  0.500

Results
M_tot (μB per formula unit): 0.04
Calculated total energy (eV per atom): -1.864



(11)
Below is a geometry-optimized BaLaB12 structure, with properties calculated at the GGA-PBE level.

a = 4.211 Å, b = 4.211 Å, c = 8.434 Å
α = 90.00°, β = 90.00°, γ = 90.00°
Atoms (fractional coordinates):
Ba  0.000  0.000  0.000
La  0.000  0.000  0.500
B  0.202  0.500  0.254
B  0.202  0.500  0.746
B  0.500  0.500  0.401
B  0.500  0.500  0.896
B  0.500  0.202  0.254
B  0.500  0.202  0.746
B  0.500  0.500  0.104
B  0.500  0.500  0.599
B  0.500  0.798  0.254
B  0.500  0.798  0.746
B  0.798  0.500  0.254
B  0.798  0.500  0.746

Results
Calculated total energy (eV per atom): -6.704



(12)
Below is a geometry-optimized Sc2O3 structure, with properties calculated at the GGA-PBE level.

a = 6.887 Å, b = 6.887 Å, c = 8.051 Å
α = 79.64°, β = 79.64°, γ = 26.99°
Atoms (fractional coordinates):
Sc  0.031  0.031  0.184
Sc  0.364  0.364  0.487
Sc  0.692  0.692  0.864
Sc  0.969  0.969  0.816
Sc  0.636  0.636  0.513
Sc  0.308  0.308  0.136
O  0.826  0.826  0.965
O  0.174  0.174  0.035
O  0.790  0.790  0.621
O  0.126  0.126  0.721
O  0.500  0.500  0.000
O  0.210  0.210  0.379
O  0.534  0.534  0.341
O  0.874  0.874  0.279
O  0.466  0.466  0.659

Results
Calculated total energy (eV per atom): -8.985



(13)
Below is a geometry-optimized KBaSn structure, with properties calculated at the GGA-PBE level.

a = 5.708 Å, b = 5.708 Å, c = 5.708 Å
α = 60.00°, β = 60.00°, γ = 60.00°
Atoms (fractional coordinates):
K  0.250  0.250  0.250
Ba  0.500  0.500  0.500
Sn  0.000  0.000  0.000

Results
M_tot (μB per formula unit): 0.05
Calculated total energy (eV per atom): -2.317



(14)
Below is a geometry-optimized AlPO4 structure, with properties calculated at the GGA-PBE level.

a = 9.073 Å, b = 18.876 Å, c = 19.082 Å
α = 119.59°, β = 93.77°, γ = 89.87°
Atoms (fractional coordinates):
Al  0.418  0.825  0.492
Al  0.912  0.666  0.492
Al  0.563  0.419  0.416
Al  0.594  0.496  0.657
Al  0.066  0.328  0.500
Al  0.436  0.327  0.490
Al  0.939  0.591  0.990
Al  0.580  0.592  0.998
Al  0.078  0.497  0.819
Al  0.456  0.505  0.822
Al  0.553  0.336  0.844
Al  0.937  0.336  0.832
Al  0.063  0.438  0.025
Al  0.428  0.430  0.021
Al  0.561  0.159  0.497
Al  0.932  0.160  0.495
Al  0.057  0.169  0.673
Al  0.430  0.172  0.668
P  0.901  0.835  0.346
P  0.576  0.828  0.344
P  0.062  0.823  0.491
P  0.066  0.642  0.132
P  0.470  0.621  0.128
P  0.935  0.504  0.189
P  0.605  0.514  0.182
P  0.557  0.668  0.494
P  0.471  0.505  0.316
P  0.001  0.504  0.339
P  0.082  0.576  0.570
P  0.430  0.573  0.565
P  0.915  0.424  0.428
P  0.947  0.496  0.655
P  0.092  0.992  0.422
P  0.418  0.984  0.416
P  0.521  0.995  0.585
P  0.965  0.001  0.567
O  0.117  0.992  0.502
O  0.429  0.979  0.494
O  0.492  0.906  0.348
O  0.985  0.917  0.360
O  0.681  0.999  0.578
O  0.743  0.869  0.379
O  0.461  0.915  0.580
O  0.036  0.906  0.564
O  0.907  0.769  0.263
O  0.570  0.760  0.263
O  0.011  0.684  0.083
O  0.551  0.674  0.102
O  0.972  0.815  0.413
O  0.516  0.815  0.411
O  0.223  0.808  0.471
O  0.322  0.640  0.161
O  0.985  0.590  0.234
O  0.576  0.599  0.189
O  0.489  0.745  0.507
O  0.996  0.754  0.502
O  0.764  0.490  0.153
O  0.724  0.677  0.516
O  0.914  0.579  0.396
O  0.518  0.597  0.409
O  0.008  0.440  0.116
O  0.498  0.447  0.123
O  0.928  0.467  0.249
O  0.612  0.525  0.269
O  0.483  0.652  0.561
O  0.014  0.647  0.565
O  0.163  0.514  0.351
O  0.254  0.588  0.575
O  0.940  0.428  0.349
O  0.543  0.441  0.334
O  0.036  0.496  0.490
O  0.448  0.501  0.483
O  0.503  0.578  0.639
O  0.040  0.570  0.643
O  0.760  0.451  0.452
O  0.787  0.520  0.654
O  0.967  0.346  0.420
O  0.502  0.331  0.406
O  0.011  0.511  0.734
O  0.544  0.512  0.748
O  0.487  0.593  0.918
O  0.015  0.576  0.905
O  0.981  0.417  0.582
O  0.541  0.408  0.571
O  0.250  0.349  0.502
O  0.759  0.569  0.990
O  0.265  0.494  0.810
O  0.474  0.536  0.043
O  0.037  0.548  0.054
O  0.001  0.408  0.808
O  0.507  0.417  0.826
O  0.000  0.239  0.486
O  0.478  0.231  0.478
O  0.743  0.336  0.832
O  0.245  0.424  0.025
O  0.743  0.141  0.473
O  0.976  0.152  0.581
O  0.507  0.166  0.585
O  0.522  0.364  0.943
O  0.967  0.372  0.936
O  0.990  0.239  0.763
O  0.497  0.240  0.766
O  0.472  0.058  0.417
O  0.038  0.066  0.421
O  0.242  0.189  0.670
O  0.247  0.964  0.381
O  0.034  0.061  0.651
O  0.444  0.067  0.649

Results
M_tot (μB per formula unit): 0.34
Calculated total energy (eV per atom): -7.044